# 1
Crystalline Mg3BiSb at its relaxed geometry, computed with PBE.

Cell lengths 4.664, 4.664, 7.360 Å; angles 90.00, 90.00, 120.00 degrees
Element x y z (fractional)
Mg  0.000  0.000  0.000
Mg  0.333  0.667  0.261
Mg  0.667  0.333  0.640
Bi  0.000  0.000  0.415
Sb  0.333  0.667  0.860

As for the formation enthalpy at 0 K: -0.3147 eV/atom. For the mass density, the calculation gives 4.83 g cm⁻³. The total energy comes out at -2.840 eV per atom. As for the corrected total energy (MP2020 scheme): -2.879 eV/atom.

---

# 2
Crystalline LaB4 at its relaxed geometry, computed with PBE.

Cell lengths 7.311, 7.311, 4.183 Å; angles 90.00, 90.00, 90.00 degrees
Element x y z (fractional)
La  0.184  0.316  0.000
La  0.316  0.816  0.000
La  0.684  0.184  0.000
La  0.816  0.684  0.000
B  0.000  0.000  0.206
B  0.000  0.000  0.794
B  0.039  0.826  0.500
B  0.089  0.589  0.500
B  0.174  0.039  0.500
B  0.326  0.539  0.500
B  0.411  0.089  0.500
B  0.461  0.326  0.500
B  0.500  0.500  0.206
B  0.500  0.500  0.794
B  0.539  0.674  0.500
B  0.589  0.911  0.500
B  0.674  0.461  0.500
B  0.826  0.961  0.500
B  0.911  0.411  0.500
B  0.961  0.174  0.500

As for the formation enthalpy at 0 K: -0.5648 eV/atom. For the mass density, the calculation gives 5.41 g cm⁻³. The total energy comes out at -6.896 eV per atom.

---

# 3
Crystalline Ga3Ag at its relaxed geometry, computed with PBE.

Cell lengths 5.814, 5.814, 5.143 Å; angles 90.00, 90.00, 120.00 degrees
Element x y z (fractional)
Ga  0.166  0.333  0.250
Ga  0.166  0.834  0.250
Ga  0.333  0.166  0.750
Ga  0.667  0.834  0.250
Ga  0.834  0.166  0.750
Ga  0.834  0.667  0.750
Ag  0.333  0.667  0.750
Ag  0.667  0.333  0.250

As for the formation enthalpy at 0 K: 0.0629 eV/atom. For the mass density, the calculation gives 6.99 g cm⁻³. The total energy comes out at -2.916 eV per atom. As for the distance to the lowest polymorph of the same formula: 34 meV/atom.